A geometry-optimized Li7Mn3FeP6O24 structure. Source: the Materials Project database, functional PBE with a Hubbard U.

abc: 8.8072 8.8072 8.8072
angles: 60.83 60.83 60.83
Sites, in units of the cell vectors:
Li (0.6490, 0.2346, 0.8178)
Li (0.2346, 0.8178, 0.6490)
Li (0.2246, 0.3982, 0.7221)
Li (0.0158, 0.0158, 0.0158)
Li (0.8178, 0.6490, 0.2346)
Li (0.7221, 0.2246, 0.3982)
Li (0.3982, 0.7221, 0.2246)
Mn (0.8505, 0.8505, 0.8505)
Mn (0.3525, 0.3525, 0.3525)
Mn (0.6461, 0.6461, 0.6461)
Fe (0.1465, 0.1465, 0.1465)
P (0.2450, 0.5421, 0.9620)
P (0.9620, 0.2450, 0.5421)
P (0.5421, 0.9620, 0.2450)
P (0.4477, 0.0502, 0.7487)
P (0.0502, 0.7487, 0.4477)
P (0.7487, 0.4477, 0.0502)
O (0.1272, 0.2879, 0.5090)
O (0.5090, 0.1272, 0.2879)
O (0.2879, 0.5090, 0.1272)
O (0.0776, 0.7229, 0.9473)
O (0.4015, 0.5670, 0.7755)
O (0.2013, 0.3787, 0.9852)
O (0.9473, 0.0776, 0.7229)
O (0.7755, 0.4015, 0.5670)
O (0.5670, 0.7755, 0.4015)
O (0.6087, 0.0325, 0.7919)
O (0.2564, 0.0974, 0.8999)
O (0.0325, 0.7919, 0.6087)
O (0.9852, 0.2013, 0.3787)
O (0.7229, 0.9473, 0.0776)
O (0.3787, 0.9852, 0.2013)
O (0.4441, 0.2299, 0.5747)
O (0.2299, 0.5747, 0.4441)
O (0.0974, 0.8999, 0.2564)
O (0.7919, 0.6087, 0.0325)
O (0.5747, 0.4441, 0.2299)
O (0.8999, 0.2564, 0.0974)
O (0.7178, 0.4739, 0.8831)
O (0.4739, 0.8831, 0.7178)
O (0.8831, 0.7178, 0.4739)

## Properties
density	2831	kg/m3
ΔE_f	-241.7	kJ per mole of atoms

A geometry-optimized Li2MnF4 structure. Source: the Materials Project database, functional PBE with a Hubbard U.

abc: 7.3496 9.9431 10.1208
angles: 63.18 90.00 90.00
Sites, in units of the cell vectors:
Li (0.9807, 0.3409, 0.0791)
Li (0.6365, 0.1244, 0.4393)
Li (0.5923, 0.3544, 0.0562)
Li (0.0048, 0.1552, 0.4147)
Li (0.5193, 0.3409, 0.5791)
Li (0.8635, 0.1244, 0.9393)
Li (0.9077, 0.3544, 0.5562)
Li (0.4952, 0.1552, 0.9147)
Li (0.5048, 0.8448, 0.0853)
Li (0.0923, 0.6456, 0.4438)
Li (0.1365, 0.8756, 0.0607)
Li (0.4807, 0.6591, 0.4209)
Li (0.9952, 0.8448, 0.5853)
Li (0.4077, 0.6456, 0.9438)
Li (0.3635, 0.8756, 0.5607)
Li (0.0193, 0.6591, 0.9209)
Mn (0.2795, 0.0384, 0.2329)
Mn (0.2205, 0.0384, 0.7329)
Mn (0.2201, 0.4807, 0.2498)
Mn (0.7201, 0.5193, 0.2502)
Mn (0.2799, 0.4807, 0.7498)
Mn (0.7799, 0.5193, 0.7502)
Mn (0.7795, 0.9616, 0.2671)
Mn (0.7205, 0.9616, 0.7671)
F (0.0258, 0.0371, 0.1213)
F (0.1647, 0.9917, 0.4369)
F (0.4147, 0.2109, 0.0654)
F (0.7913, 0.1779, 0.2617)
F (0.4742, 0.0371, 0.6213)
F (0.3353, 0.9917, 0.9369)
F (0.1422, 0.2861, 0.2437)
F (0.0853, 0.2109, 0.5654)
F (0.8570, 0.5114, 0.0784)
F (0.7087, 0.1779, 0.7617)
F (0.6919, 0.3161, 0.4448)
F (0.4823, 0.4748, 0.1500)
F (0.9823, 0.5252, 0.3500)
F (0.3578, 0.2861, 0.7437)
F (0.1919, 0.6839, 0.0552)
F (0.3570, 0.4886, 0.4216)
F (0.6430, 0.5114, 0.5784)
F (0.8081, 0.3161, 0.9448)
F (0.6422, 0.7139, 0.2563)
F (0.0177, 0.4748, 0.6500)
F (0.5177, 0.5252, 0.8500)
F (0.3081, 0.6839, 0.5552)
F (0.2913, 0.8221, 0.2383)
F (0.1430, 0.4886, 0.9216)
F (0.9147, 0.7891, 0.4346)
F (0.8578, 0.7139, 0.7563)
F (0.6647, 0.0083, 0.0631)
F (0.5258, 0.9629, 0.3787)
F (0.2087, 0.8221, 0.7383)
F (0.5853, 0.7891, 0.9346)
F (0.8353, 0.0083, 0.5631)
F (0.9742, 0.9629, 0.8787)

## Properties
density	2915	kg/m3
offset from the most stable computed form	44	meV/atom
ΔE_f	-290.8	kJ per mole of atoms

A geometry-optimized BaMoP2O8 structure. Source: the Materials Project database, functional PBE with a Hubbard U.

abc: 4.9779 4.9779 7.9854
angles: 86.27 86.27 65.15
Sites, in units of the cell vectors:
Ba (0.0000, 0.0000, 0.0000)
Mo (0.0000, 0.0000, 0.5000)
P (0.3677, 0.3677, 0.2883)
P (0.6323, 0.6323, 0.7117)
O (0.2905, 0.7667, 0.6893)
O (0.6888, 0.6888, 0.8885)
O (0.7095, 0.2333, 0.3107)
O (0.2340, 0.2340, 0.4346)
O (0.7660, 0.7660, 0.5654)
O (0.2333, 0.7095, 0.3107)
O (0.3112, 0.3112, 0.1115)
O (0.7667, 0.2905, 0.6893)

## Properties
density	3926	kg/m3
ΔE_f	-271.4	kJ per mole of atoms

A geometry-optimized Li3Ti2CrO6 structure. Source: the Materials Project database, functional PBE with a Hubbard U.

abc: 6.6750 6.7136 10.6405
angles: 108.17 93.32 97.43
Sites, in units of the cell vectors:
Li (0.7086, 0.2099, 0.8763)
Li (0.4573, 0.9566, 0.6235)
Li (0.2082, 0.7062, 0.3741)
Li (0.9583, 0.4598, 0.1261)
Li (0.3699, 0.8823, 0.8763)
Li (0.1184, 0.6329, 0.6244)
Li (0.8692, 0.3841, 0.3755)
Li (0.6194, 0.1345, 0.1266)
Li (0.0478, 0.5342, 0.8749)
Li (0.7974, 0.2844, 0.6238)
Li (0.5469, 0.0327, 0.3735)
Li (0.2977, 0.7821, 0.1250)
Ti (0.7463, 0.7484, 0.7541)
Ti (0.4905, 0.4901, 0.5007)
Ti (0.2361, 0.2368, 0.2516)
Ti (0.9931, 0.9962, 0.0057)
Ti (0.6769, 0.6777, 0.9989)
Ti (0.4213, 0.4189, 0.7451)
Ti (0.1716, 0.1693, 0.4939)
Ti (0.9311, 0.9297, 0.2495)
Cr (0.0841, 0.0844, 0.7507)
Cr (0.8314, 0.8311, 0.4995)
Cr (0.5842, 0.5842, 0.2505)
Cr (0.3338, 0.3334, 0.9999)
O (0.0514, 0.8260, 0.8143)
O (0.7993, 0.5746, 0.5647)
O (0.5507, 0.3269, 0.3154)
O (0.3015, 0.0771, 0.0638)
O (0.3682, 0.5898, 0.9343)
O (0.1161, 0.3420, 0.6863)
O (0.8633, 0.0889, 0.4362)
O (0.6166, 0.8403, 0.1846)
O (0.7244, 0.4831, 0.8137)
O (0.4779, 0.2297, 0.5645)
O (0.2350, 0.9757, 0.3156)
O (0.9779, 0.7310, 0.0636)
O (0.6873, 0.9376, 0.9352)
O (0.4433, 0.6840, 0.6856)
O (0.1888, 0.4366, 0.4371)
O (0.9319, 0.1888, 0.1842)
O (0.3851, 0.1605, 0.8133)
O (0.1321, 0.9097, 0.5650)
O (0.8861, 0.6611, 0.3145)
O (0.6335, 0.4136, 0.0644)
O (0.0324, 0.2568, 0.9365)
O (0.7835, 0.0074, 0.6860)
O (0.5311, 0.7544, 0.4361)
O (0.2829, 0.5044, 0.1853)

## Properties
density	3933	kg/m3
ΔE_f	-266.5	kJ per mole of atoms

A geometry-optimized CaMn3V4O12 structure. Source: the Materials Project database, functional PBE with a Hubbard U.

abc: 6.5243 6.5243 6.5243
angles: 109.47 109.47 109.47
Sites, in units of the cell vectors:
Ca (0.0000, 0.0000, 0.0000)
Mn (0.5000, 0.0000, 0.5000)
Mn (0.0000, 0.5000, 0.5000)
Mn (0.5000, 0.5000, 0.0000)
V (0.0000, 0.0000, 0.5000)
V (0.5000, 0.0000, 0.0000)
V (0.0000, 0.5000, 0.0000)
V (0.5000, 0.5000, 0.5000)
O (0.6994, 0.8095, 0.5089)
O (0.6994, 0.1905, 0.8899)
O (0.3006, 0.8095, 0.1101)
O (0.3006, 0.1905, 0.4911)
O (0.8095, 0.5089, 0.6994)
O (0.1905, 0.8899, 0.6994)
O (0.8095, 0.1101, 0.3006)
O (0.1905, 0.4911, 0.3006)
O (0.5089, 0.6994, 0.8095)
O (0.8899, 0.6994, 0.1905)
O (0.1101, 0.3006, 0.8095)
O (0.4911, 0.3006, 0.1905)

## Properties
density	4665	kg/m3
offset from the most stable computed form	23	meV/atom
ΔE_f	-233.9	kJ per mole of atoms

Copy entry 3 word for word.
A geometry-optimized BaMoP2O8 structure. Source: the Materials Project database, functional PBE with a Hubbard U.

abc: 4.9779 4.9779 7.9854
angles: 86.27 86.27 65.15
Sites, in units of the cell vectors:
Ba (0.0000, 0.0000, 0.0000)
Mo (0.0000, 0.0000, 0.5000)
P (0.3677, 0.3677, 0.2883)
P (0.6323, 0.6323, 0.7117)
O (0.2905, 0.7667, 0.6893)
O (0.6888, 0.6888, 0.8885)
O (0.7095, 0.2333, 0.3107)
O (0.2340, 0.2340, 0.4346)
O (0.7660, 0.7660, 0.5654)
O (0.2333, 0.7095, 0.3107)
O (0.3112, 0.3112, 0.1115)
O (0.7667, 0.2905, 0.6893)

## Properties
density	3926	kg/m3
ΔE_f	-271.4	kJ per mole of atoms